No. 1
Entry from the Materials Project database: crystalline Ag3BO3 at its relaxed geometry (r²SCAN).

```
Ag3BO3
1.0
2.0665 6.8867 -1.1070
-5.7402 1.6135 -4.1678
-3.9412 2.6309 5.5198
B Ag O
4 12 12
Direct
0.8751 0.8751 0.8751
0.3751 0.3751 0.3751
0.6249 0.6249 0.6249
0.1249 0.1249 0.1249
0.3743 0.8810 0.8720
0.1190 0.1280 0.6257
0.6280 0.6190 0.1257
0.1280 0.6257 0.1190
0.6190 0.1257 0.6280
0.8743 0.3720 0.3810
0.3720 0.3810 0.8743
0.8810 0.8720 0.3743
0.6257 0.1190 0.1280
0.3810 0.8743 0.3720
0.1257 0.6280 0.6190
0.8720 0.3743 0.8810
0.8698 0.0172 0.7391
0.5172 0.3698 0.2391
0.6302 0.7609 0.4828
0.0172 0.7391 0.8698
0.2391 0.5172 0.3698
0.7391 0.8698 0.0172
0.3698 0.2391 0.5172
0.4828 0.6302 0.7609
0.7609 0.4828 0.6302
0.9828 0.2609 0.1302
0.1302 0.9828 0.2609
0.2609 0.1302 0.9828
```

Computed properties:
SG   R-3c
Formation energy   -7.27 eV per formula unit
Total magnetic moment   0.00 μB/cell
Electronic total energy   -13.80 eV per atom

No. 2
Entry from the Materials Project database: crystalline NaHg2 at its relaxed geometry (r²SCAN).

```
NaHg2
1.0
5.1057 0.0000 0.0000
-2.5529 4.4217 0.0000
0.0000 0.0000 3.2600
Hg Na
2 1
Direct
0.6667 0.3333 0.5000
0.3333 0.6667 0.5000
0.0000 0.0000 0.0000
```

Computed properties:
SG   P6/mmm
Formation energy   -0.79 eV per formula unit
Total magnetic moment   0.00 μB/cell
Electronic total energy   -34.36 eV per atom

No. 3
Entry from the Materials Project database: crystalline GdFe4B at its relaxed geometry (r²SCAN).

```
GdFe4B
1.0
-2.5495 -4.4156 0.0000
-2.5495 4.4156 0.0000
0.0000 0.0000 -7.0388
Fe Gd B
8 2 2
Direct
0.0000 0.5000 0.7149
0.1667 0.8333 0.0000
0.0000 0.5000 0.2851
0.5000 0.0000 0.2851
0.5000 0.0000 0.7149
0.8333 0.1667 0.0000
0.0000 0.0000 0.2852
0.0000 0.0000 0.7148
0.5000 0.5000 0.0000
0.5000 0.5000 0.5000
0.8333 0.1667 0.5000
0.1667 0.8333 0.5000
```

Computed properties:
SG   P6/mmm
Formation energy   -0.69 eV per formula unit
Total magnetic moment   16.72 μB/cell
Electronic total energy   -18.18 eV per atom

No. 4
Entry from the Materials Project database: crystalline Ti3Zn3N at its relaxed geometry (r²SCAN).

```
Ti3Zn3N
1.0
5.6932 -0.2126 5.7182
-1.9495 -2.0418 7.5621
2.4238 -7.0821 3.0205
Ti Zn N
12 12 4
Direct
0.0698 0.4302 0.0698
0.8198 0.8198 0.1802
0.1802 0.8198 0.1802
0.4302 0.0698 0.4302
0.0698 0.0698 0.4302
0.4302 0.4302 0.0698
0.8198 0.1802 0.8198
0.8198 0.1802 0.1802
0.4302 0.0698 0.0698
0.1802 0.8198 0.8198
0.0698 0.4302 0.4302
0.1802 0.1802 0.8198
0.6250 0.6250 0.1250
0.4158 0.4158 0.7525
0.7525 0.4158 0.4158
0.4158 0.4158 0.4158
0.4974 0.8342 0.8342
0.8342 0.8342 0.8342
0.4158 0.7525 0.4158
0.8342 0.8342 0.4974
0.6250 0.6250 0.6250
0.1250 0.6250 0.6250
0.6250 0.1250 0.6250
0.8342 0.4974 0.8342
0.1250 0.1250 0.1250
0.1250 0.6250 0.1250
0.6250 0.1250 0.1250
0.1250 0.1250 0.6250
```

Computed properties:
SG   Fd-3m
Formation energy   -5.60 eV per formula unit
Total magnetic moment   0.00 μB/cell
Electronic total energy   -11.47 eV per atom

No. 5
Entry from the Materials Project database: crystalline CsBe2F5 at its relaxed geometry (r²SCAN).

```
CsBe2F5
1.0
-2.8994 6.5742 -3.2498
-4.1121 -4.3509 -5.1330
-6.0722 -0.1926 5.0278
F Be Cs
20 8 4
Direct
0.6250 0.4583 0.7083
0.2552 0.7448 0.2448
0.8750 0.5417 0.2083
0.4948 0.5052 0.0052
0.5417 0.2083 0.8750
0.7083 0.6250 0.4583
0.9948 0.9948 0.9948
0.7917 0.3750 0.9583
0.7448 0.2448 0.2552
0.0417 0.2917 0.1250
0.4583 0.7083 0.6250
0.7552 0.7552 0.7552
0.2083 0.8750 0.5417
0.5052 0.0052 0.4948
0.9583 0.7917 0.3750
0.2917 0.1250 0.0417
0.3750 0.9583 0.7917
0.2448 0.2552 0.7448
0.0052 0.4948 0.5052
0.1250 0.0417 0.2917
0.8960 0.6040 0.3960
0.3540 0.1460 0.8540
0.1040 0.1040 0.1040
0.3960 0.8960 0.6040
0.1460 0.8540 0.3540
0.6460 0.6460 0.6460
0.6040 0.3960 0.8960
0.8540 0.3540 0.1460
0.3750 0.3750 0.3750
0.1250 0.6250 0.8750
0.6250 0.8750 0.1250
0.8750 0.1250 0.6250
```

Computed properties:
SG   P4_132
Formation energy   -27.37 eV per formula unit
Total magnetic moment   0.00 μB/cell
Electronic total energy   -9.60 eV per atom

No. 6
Entry from the Materials Project database: crystalline Pr3PtBr3 at its relaxed geometry (r²SCAN).

```
Pr3PtBr3
1.0
-6.0895 6.0894 6.0894
6.0895 -6.0895 6.0895
6.0895 6.0895 -6.0895
Pr Br Pt
12 12 4
Direct
0.4863 0.7500 0.0137
0.2363 0.2637 0.7500
0.7500 0.2363 0.2637
0.0137 0.0274 0.2637
0.7500 0.0137 0.4863
0.4725 0.4863 0.2363
0.4863 0.2363 0.4726
0.2363 0.4725 0.4863
0.0275 0.2637 0.0137
0.2637 0.0137 0.0275
0.0137 0.4863 0.7500
0.2637 0.7500 0.2363
0.9944 0.9888 0.7444
0.7444 0.9944 0.9888
0.2500 0.7556 0.7444
0.5112 0.5056 0.7556
0.9888 0.7444 0.9944
0.7444 0.2500 0.7556
0.2500 0.9944 0.5056
0.5056 0.7556 0.5112
0.7556 0.5112 0.5056
0.9944 0.5056 0.2500
0.5056 0.2500 0.9944
0.7556 0.7444 0.2500
0.2500 0.2500 0.2500
0.0000 0.2500 0.5000
0.2500 0.5000 0.0000
0.5000 0.0000 0.2500
```

Computed properties:
SG   I4_132
Formation energy   -11.98 eV per formula unit
Total magnetic moment   0.00 μB/cell
Electronic total energy   -27.35 eV per atom

What is the total magnetic moment in the sixth record?
0.00 μB/cell

The highest formation energy belongs to which entry?
GdFe4B

Copy entry 5 word for word.
Entry from the Materials Project database: crystalline CsBe2F5 at its relaxed geometry (r²SCAN).

```
CsBe2F5
1.0
-2.8994 6.5742 -3.2498
-4.1121 -4.3509 -5.1330
-6.0722 -0.1926 5.0278
F Be Cs
20 8 4
Direct
0.6250 0.4583 0.7083
0.2552 0.7448 0.2448
0.8750 0.5417 0.2083
0.4948 0.5052 0.0052
0.5417 0.2083 0.8750
0.7083 0.6250 0.4583
0.9948 0.9948 0.9948
0.7917 0.3750 0.9583
0.7448 0.2448 0.2552
0.0417 0.2917 0.1250
0.4583 0.7083 0.6250
0.7552 0.7552 0.7552
0.2083 0.8750 0.5417
0.5052 0.0052 0.4948
0.9583 0.7917 0.3750
0.2917 0.1250 0.0417
0.3750 0.9583 0.7917
0.2448 0.2552 0.7448
0.0052 0.4948 0.5052
0.1250 0.0417 0.2917
0.8960 0.6040 0.3960
0.3540 0.1460 0.8540
0.1040 0.1040 0.1040
0.3960 0.8960 0.6040
0.1460 0.8540 0.3540
0.6460 0.6460 0.6460
0.6040 0.3960 0.8960
0.8540 0.3540 0.1460
0.3750 0.3750 0.3750
0.1250 0.6250 0.8750
0.6250 0.8750 0.1250
0.8750 0.1250 0.6250
```

Computed properties:
SG   P4_132
Formation energy   -27.37 eV per formula unit
Total magnetic moment   0.00 μB/cell
Electronic total energy   -9.60 eV per atom